Compound: Er2MgAl
Source: the Materials Project
Functional: PBE
Structure: relaxed

Calculated values
mass density	6.61	Mg/m³
crystal system	cubic
E_tot	-3.88	eV/atom
ΔH_f (0 K)	-0.262	eV per atom

Lattice parameters (Å, degrees): 7.2914 7.2914 7.2914 90.00 90.00 90.00
Last column: nearest neighbours and their distance in Å.
Fractional positions:
1 Er 0.2500 0.2500 0.2500  4 Mg 3.16, 4 Al 3.16
2 Er 0.2500 0.2500 0.7500  4 Mg 3.16, 4 Al 3.16
3 Er 0.2500 0.7500 0.2500  4 Mg 3.16, 4 Al 3.16
4 Er 0.2500 0.7500 0.7500  4 Mg 3.16, 4 Al 3.16
5 Er 0.7500 0.2500 0.2500  4 Mg 3.16, 4 Al 3.16
6 Er 0.7500 0.2500 0.7500  4 Mg 3.16, 4 Al 3.16
7 Er 0.7500 0.7500 0.2500  4 Mg 3.16, 4 Al 3.16
8 Er 0.7500 0.7500 0.7500  4 Mg 3.16, 4 Al 3.16
9 Mg 0.0000 0.0000 0.0000  8 Er 3.16
10 Mg 0.0000 0.5000 0.5000  8 Er 3.16
11 Mg 0.5000 0.0000 0.5000  8 Er 3.16
12 Mg 0.5000 0.5000 0.0000  8 Er 3.16
13 Al 0.0000 0.0000 0.5000  8 Er 3.16
14 Al 0.0000 0.5000 0.0000  8 Er 3.16
15 Al 0.5000 0.0000 0.0000  8 Er 3.16
16 Al 0.5000 0.5000 0.5000  8 Er 3.16

=====

Compound: In2Au3
Source: the Materials Project
Functional: PBE
Structure: relaxed

Calculated values
mass density	12.28	Mg/m³
crystal system	trigonal
E_tot	-3.23	eV/atom
excess energy over the best structure of this formula in the dataset	0.000	eV/atom
ΔH_f (0 K)	-0.165	eV per atom

Lattice parameters (Å, degrees): 4.7160 4.7160 5.7594 90.00 90.00 120.00
Last column: nearest neighbours and their distance in Å.
Fractional positions:
1 In 0.3333 0.6667 0.1739  5 Au 2.82-2.94
2 In 0.6667 0.3333 0.8261  5 Au 2.82-2.94
3 Au 0.0000 0.0000 0.5000  6 Au 2.92
4 Au 0.3333 0.6667 0.6847  5 In 2.82-2.94, 3 Au 2.92
5 Au 0.6667 0.3333 0.3153  5 In 2.82-2.94, 3 Au 2.92

=====

Compound: ZnSO4
Source: the Materials Project
Functional: PBE
Structure: relaxed

Calculated values
piezoelectric modulus e_max	0.5	C/m²
M_tot	0.00	μB per formula unit
mass density	2.21	Mg/m³
crystal system	cubic
E_tot	-5.56	eV/atom
ΔH_f (0 K)	-1.825	eV per atom

Lattice parameters (Å, degrees): 5.5571 5.5571 5.5571 60.00 60.00 60.00
Last column: nearest neighbours and their distance in Å.
Fractional positions:
1 Zn 0.0000 0.0000 0.0000  4 O 1.93
2 S 0.7500 0.7500 0.7500  4 O 1.47
3 O 0.4253 0.8582 0.8582  1 S 1.47
4 O 0.8582 0.4253 0.8582  1 S 1.47
5 O 0.8582 0.8582 0.4253  1 S 1.47
6 O 0.8582 0.8582 0.8582  1 S 1.47

=====

Compound: HoSnRh
Source: the Materials Project
Functional: PBE
Structure: relaxed

Calculated values
mass density	10.14	Mg/m³
crystal system	hexagonal
E_tot	-6.22	eV/atom
ΔH_f (0 K)	-0.904	eV per atom

Lattice parameters (Å, degrees): 7.6177 7.6177 3.7786 90.00 90.00 120.00
Last column: nearest neighbours and their distance in Å.
Fractional positions:
1 Ho 0.0000 0.4049 0.0000  5 Rh 2.99-3.08, 6 Sn 3.15-3.30
2 Ho 0.4049 0.0000 0.0000  5 Rh 2.99-3.08, 6 Sn 3.15-3.30
3 Ho 0.5951 0.5951 0.0000  5 Rh 2.99-3.08, 6 Sn 3.15-3.30
4 Sn 0.0000 0.7361 0.5000  4 Rh 2.76-2.84
5 Sn 0.2639 0.2639 0.5000  4 Rh 2.76-2.84
6 Sn 0.7361 0.0000 0.5000  4 Rh 2.76-2.84
7 Rh 0.0000 0.0000 0.0000  6 Sn 2.76, 3 Ho 3.08
8 Rh 0.3333 0.6667 0.5000  3 Sn 2.84, 6 Ho 2.99
9 Rh 0.6667 0.3333 0.5000  3 Sn 2.84, 6 Ho 2.99

=====

ΔH_f (0 K) of number 3 (ZnSO4)?
-1.825 eV per atom

=====

Among the records above, which one has the lowest ΔH_f (0 K)?
ZnSO4

=====

The lowest mass density belongs to which entry?
ZnSO4